(1)
Ca3V2Si3O12 after structural relaxation, computed with PBE+U.

Unit cell a=10.5907 b=10.5907 c=10.5907 alpha=109.47 beta=109.47 gamma=109.47
Atoms (fractional coordinates):
V 0.5000 0.5000 0.5000
O 0.3043 0.8921 0.0085
Ca 0.6250 0.8750 0.7500
O 0.2958 0.3043 0.9122
O 0.2042 0.1164 0.0085
Si 0.3750 0.2500 0.6250
O 0.8921 0.0085 0.3043
Si 0.1250 0.7500 0.8750
O 0.9915 0.7958 0.8836
Ca 0.2500 0.3750 0.1250
O 0.9915 0.6957 0.1079
O 0.1079 0.6164 0.4122
O 0.7958 0.4122 0.8043
O 0.8043 0.5085 0.3921
O 0.6164 0.4122 0.1079
Ca 0.1250 0.3750 0.7500
O 0.8043 0.7958 0.4122
Si 0.3750 0.6250 0.7500
O 0.5085 0.3921 0.8043
O 0.3921 0.8043 0.5085
O 0.2042 0.5878 0.1957
O 0.8836 0.9915 0.7958
O 0.0085 0.3043 0.8921
Si 0.8750 0.1250 0.7500
Ca 0.6250 0.2500 0.8750
O 0.1957 0.4915 0.6079
O 0.4915 0.3836 0.2958
O 0.9122 0.2958 0.3043
Si 0.2500 0.1250 0.8750
Si 0.8750 0.2500 0.1250
O 0.4122 0.8043 0.7958
Ca 0.3750 0.1250 0.2500
O 0.7042 0.6957 0.0878
V 0.5000 0.0000 0.0000
O 0.6164 0.7042 0.5085
Ca 0.8750 0.6250 0.2500
O 0.6079 0.1957 0.4915
Si 0.6250 0.7500 0.3750
Si 0.7500 0.8750 0.1250
Si 0.2500 0.6250 0.3750
V 0.0000 0.5000 0.5000
V 0.0000 0.0000 0.5000
O 0.5878 0.8921 0.3836
O 0.1164 0.0085 0.2042
O 0.3921 0.0878 0.8836
O 0.5085 0.6164 0.7042
V 0.0000 0.5000 0.0000
O 0.9122 0.1164 0.6079
O 0.0878 0.8836 0.3921
O 0.1079 0.9915 0.6957
V 0.5000 0.5000 0.0000
Si 0.6250 0.3750 0.2500
O 0.3043 0.9122 0.2958
O 0.0085 0.2042 0.1164
O 0.3836 0.5878 0.8921
O 0.5878 0.1957 0.2042
Ca 0.7500 0.6250 0.8750
O 0.6957 0.0878 0.7042
O 0.7958 0.8836 0.9915
Ca 0.8750 0.7500 0.6250
O 0.1957 0.2042 0.5878
Si 0.1250 0.8750 0.2500
O 0.4122 0.1079 0.6164
Ca 0.3750 0.7500 0.1250
O 0.6957 0.1079 0.9915
O 0.8921 0.3836 0.5878
Ca 0.7500 0.1250 0.3750
V 0.5000 0.0000 0.5000
O 0.0878 0.7042 0.6957
O 0.4915 0.6079 0.1957
Si 0.7500 0.3750 0.6250
Ca 0.1250 0.2500 0.3750
O 0.1164 0.6079 0.9122
V 0.0000 0.0000 0.0000
Ca 0.2500 0.8750 0.6250
O 0.8836 0.3921 0.0878
O 0.2958 0.4915 0.3836
O 0.3836 0.2958 0.4915
O 0.7042 0.5085 0.6164
O 0.6079 0.9122 0.1164

---

(2)
LiFe2P5O16 after structural relaxation, computed with PBE+U.

Calculated values
Its distance to the lowest polymorph of the same formula is 63 meV/atom.

Unit cell a=9.4487 b=7.5554 c=10.3546 alpha=68.32 beta=90.00 gamma=90.00
Atoms (fractional coordinates):
O 0.7444 0.1570 0.3479
O 0.3021 0.5210 0.5187
O 0.2976 0.7883 0.0672
O 0.2569 0.1511 0.5060
P 0.1385 0.6198 0.8699
Fe 0.1407 0.3782 0.4660
O 0.4647 0.0464 0.6754
O 0.2003 0.8156 0.8029
P 0.2949 0.5731 0.1264
O 0.5477 0.4866 0.6289
O 0.4804 0.6883 0.8732
O 0.4658 0.0114 0.4382
P 0.4582 0.5189 0.4874
P 0.5834 0.1235 0.0244
O 0.0652 0.2968 0.6598
O 0.5057 0.3324 0.9554
O 0.7683 0.4738 0.7667
P 0.1258 0.2820 0.8003
O 0.8198 0.4981 0.2797
P 0.4166 0.1235 0.5244
O 0.1802 0.4981 0.7797
O 0.2137 0.4991 0.0176
O 0.5353 0.0464 0.1754
P 0.8742 0.2820 0.3003
O 0.2556 0.1570 0.8479
O 0.0111 0.2318 0.9126
Li 0.2000 0.9983 0.2527
O 0.7863 0.4991 0.5176
O 0.4943 0.3324 0.4554
O 0.4523 0.4866 0.1289
O 0.6979 0.5210 0.0187
O 0.2317 0.4738 0.2667
O 0.7024 0.7883 0.5672
Li 0.8000 0.9983 0.7527
O 0.9348 0.2968 0.1598
P 0.5418 0.5189 0.9874
Fe 0.8593 0.3782 0.9660
O 0.5196 0.6883 0.3732
Fe 0.3695 0.9342 0.8587
O 0.7431 0.1511 0.0060
O 0.5342 0.0114 0.9382
P 0.8615 0.6198 0.3699
O 0.9889 0.2318 0.4126
O 0.0205 0.6184 0.3934
P 0.7051 0.5731 0.6264
O 0.7997 0.8156 0.3029
Fe 0.6305 0.9342 0.3587
O 0.9795 0.6184 0.8934

---

(3)
Li5Mn8B8O24 after structural relaxation, computed with PBE+U.

Calculated values
Its distance to the lowest polymorph of the same formula is 5 meV/atom.

Unit cell a=5.2948 b=9.1542 c=10.3686 alpha=91.92 beta=90.85 gamma=90.06
Atoms (fractional coordinates):
O 0.4159 0.0318 0.6703
O 0.1630 0.7633 0.8417
Li 0.9385 0.9236 0.3205
Li 0.9009 0.9284 0.8549
O 0.0547 0.3818 0.8958
O 0.3314 0.4203 0.6336
Li 0.5857 0.5798 0.5992
O 0.0335 0.7204 0.4093
B 0.4187 0.7505 0.8764
O 0.1620 0.0849 0.3682
B 0.0759 0.4265 0.6223
B 0.9197 0.5853 0.3808
Li 0.4130 0.4294 0.8278
O 0.0744 0.4681 0.3391
O 0.9395 0.5490 0.6739
O 0.5499 0.6245 0.8549
B 0.6101 0.2432 0.1380
O 0.9294 0.3175 0.5598
B 0.4169 0.0840 0.3624
O 0.8614 0.2431 0.1870
O 0.5522 0.9612 0.3122
O 0.4568 0.7878 0.5746
B 0.9108 0.2532 0.8651
B 0.5667 0.9116 0.6375
Mn 0.5499 0.9124 0.1192
Mn 0.5695 0.2319 0.6175
B 0.0767 0.7413 0.1154
O 0.9863 0.6119 0.0516
O 0.5260 0.1178 0.0706
Mn 0.0805 0.7722 0.6167
O 0.0234 0.1232 0.8810
Mn 0.4241 0.7426 0.3643
O 0.5595 0.2052 0.4085
Mn 0.9289 0.2652 0.3729
Mn 0.9312 0.5884 0.8663
O 0.4624 0.3610 0.1551
O 0.8147 0.9122 0.6699
Li 0.4411 0.4123 0.3388
O 0.9240 0.8557 0.1412
O 0.6652 0.5654 0.3972
Mn 0.0984 0.4059 0.1110
O 0.5392 0.8778 0.9283
O 0.3319 0.7407 0.1562
O 0.6598 0.2692 0.8239
Mn 0.4056 0.0936 0.8724

---

(4)
MgCr2O4 after structural relaxation, computed with PBE+U.

Calculated values
Its distance to the lowest polymorph of the same formula is 45 meV/atom.

Unit cell a=5.9847 b=5.9847 c=14.7027 alpha=90.00 beta=90.00 gamma=120.00
Atoms (fractional coordinates):
Mg 0.6667 0.3333 0.3755
O 0.1516 0.8484 0.2466
Cr 0.6664 0.8332 0.5006
Cr 0.1668 0.3336 0.5006
Cr 0.3333 0.6667 0.6672
O 0.9843 0.4922 0.0904
O 0.3574 0.1787 0.9098
Mg 0.6667 0.3333 0.9957
O 0.6359 0.8179 0.7532
O 0.8480 0.6960 0.4202
Mg 0.3333 0.6667 0.2920
O 0.0291 0.5145 0.5793
O 0.5078 0.4922 0.0904
Mg 0.6667 0.3333 0.6249
Cr 0.3333 0.6667 0.0440
Cr 0.8345 0.6689 0.1675
Mg 0.0000 0.0000 0.7103
O 0.6968 0.8484 0.2466
O 0.0000 0.0000 0.5728
O 0.8213 0.6426 0.9098
O 0.4855 0.9709 0.5793
Cr 0.5012 0.4988 0.8330
O 0.1821 0.8179 0.7532
O 0.3333 0.6667 0.9080
Cr 0.0000 0.0000 0.3345
Cr 0.3311 0.1655 0.1675
Mg 0.0000 0.0000 0.9534
O 0.1821 0.3641 0.7532
Cr 0.8345 0.1655 0.1675
O 0.3040 0.1520 0.4202
Cr 0.9976 0.4988 0.8330
O 0.0000 0.0000 0.0942
O 0.6667 0.3333 0.2384
O 0.8213 0.1787 0.9098
O 0.3333 0.6667 0.4275
O 0.5078 0.0157 0.0904
Cr 0.1668 0.8332 0.5006
O 0.1516 0.3032 0.2466
O 0.6667 0.3333 0.7601
Cr 0.5012 0.0024 0.8330
O 0.8480 0.1520 0.4202
O 0.4855 0.5145 0.5793

---

(5)
NdDyCo4O12 after structural relaxation, computed with PBE+U.

Unit cell a=5.2708 b=5.2708 c=7.4832 alpha=90.00 beta=90.00 gamma=89.51
Atoms (fractional coordinates):
O 0.4699 0.0486 0.5000
O 0.2778 0.2778 0.7802
Co 0.9931 0.5045 0.2516
O 0.2214 0.7793 0.7495
Co 0.5045 0.9931 0.7484
Nd 0.0253 0.0253 0.0000
Dy 0.4736 0.4736 0.5000
O 0.7793 0.2214 0.7495
O 0.7072 0.7072 0.2988
O 0.7072 0.7072 0.7012
O 0.2214 0.7793 0.2505
Co 0.5045 0.9931 0.2516
O 0.7793 0.2214 0.2505
Co 0.9931 0.5045 0.7484
O 0.0486 0.4699 0.5000
O 0.2778 0.2778 0.2198
O 0.5513 0.9666 0.0000
O 0.9666 0.5513 0.0000

---

(6)
Li9Mn2Co5O16 after structural relaxation, computed with PBE+U.

Calculated values
Its distance to the lowest polymorph of the same formula is 78 meV/atom.

Unit cell a=10.8046 b=10.8046 c=9.8545 alpha=72.28 beta=72.28 gamma=15.47
Atoms (fractional coordinates):
O 0.7793 0.7793 0.6032
Li 0.8141 0.8141 0.9348
Co 0.7482 0.7482 0.2558
Co 0.2627 0.2627 0.7432
O 0.6547 0.6547 0.2317
Li 0.3151 0.3151 0.4444
Li 0.6923 0.6923 0.5587
O 0.7148 0.7148 0.8911
Co 0.4928 0.4928 0.5024
O 0.5363 0.5363 0.8599
O 0.5892 0.5892 0.5194
Co 0.3720 0.3720 0.1251
Li 0.5622 0.5622 0.1979
O 0.0320 0.0320 0.3508
Mn 0.6290 0.6290 0.8722
Li 0.9378 0.9378 0.3188
Co 0.1223 0.1223 0.3766
O 0.1018 0.1018 0.0105
Mn 0.9989 0.9989 0.9992
O 0.9720 0.9720 0.6449
Li 0.0607 0.0607 0.6783
O 0.9027 0.9027 0.9771
O 0.8434 0.8434 0.2733
O 0.2166 0.2166 0.3998
O 0.1521 0.1521 0.7354
Li 0.4286 0.4286 0.8050
O 0.4161 0.4161 0.4676
O 0.3375 0.3375 0.7853
Li 0.1890 0.1890 0.0643
Li 0.8768 0.8768 0.6240
O 0.4705 0.4705 0.1383
O 0.2783 0.2783 0.1110

---

Number 1: ΔH_f (0 K) -3237 meV per atom, size of the total moment 0.20 μB per atom. Number 2: ΔH_f (0 K) -2433 meV per atom, size of the total moment 0.42 μB per atom. Number 3: ΔH_f (0 K) -2441 meV per atom, size of the total moment 0.82 μB per atom. Number 4: ΔH_f (0 K) -2588 meV per atom, size of the total moment 0.86 μB per atom. Number 5: ΔH_f (0 K) -1565 meV per atom, size of the total moment 0.76 μB per atom. Number 6: ΔH_f (0 K) -1786 meV per atom, size of the total moment 0.29 μB per atom.